(1)
{"formula": "K", "functional": "PBE", "state": "relaxed", "lattice_angstrom": [[4.7582, 0.0000, 0.0000], [-2.3791, 4.1207, 0.0000], [0.0000, 0.0000, 7.5866]], "species": ["K", "K"], "fractional_positions": [[0.3333, 0.6667, 0.2500], [0.6667, 0.3333, 0.7500]], "rho_g_cm3": 0.87, "crystal_system": "hexagonal", "space_group": "P6_3/mmc, No. 194"}

---

(2)
{"formula": "K", "functional": "PBE", "state": "relaxed", "lattice_angstrom": [[11.4351, 0.0000, 0.0000], [0.0000, 11.4351, 0.0000], [0.0000, 0.0000, 11.4351]], "species": ["K", "K", "K", "K", "K", "K", "K", "K", "K", "K", "K", "K", "K", "K", "K", "K", "K", "K", "K", "K"], "fractional_positions": [[0.0473, 0.1250, 0.7973], [0.0621, 0.9379, 0.4379], [0.1250, 0.7973, 0.0473], [0.1879, 0.1879, 0.1879], [0.2027, 0.5473, 0.3750], [0.2973, 0.4527, 0.8750], [0.3121, 0.8121, 0.6879], [0.3750, 0.2027, 0.5473], [0.4379, 0.0621, 0.9379], [0.4527, 0.8750, 0.2973], [0.5473, 0.3750, 0.2027], [0.5621, 0.5621, 0.5621], [0.6250, 0.7027, 0.9527], [0.6879, 0.3121, 0.8121], [0.7027, 0.9527, 0.6250], [0.7973, 0.0473, 0.1250], [0.8121, 0.6879, 0.3121], [0.8750, 0.2973, 0.4527], [0.9379, 0.4379, 0.0621], [0.9527, 0.6250, 0.7027]], "rho_g_cm3": 0.87, "crystal_system": "cubic", "space_group": "P4_132, No. 213"}

---

(3)
{"formula": "K", "functional": "PBE", "state": "relaxed", "lattice_angstrom": [[4.3231, 0.0000, 0.0000], [0.0000, 4.3231, 0.0000], [0.0000, 0.0000, 4.3231]], "species": ["K"], "fractional_positions": [[0.0000, 0.0000, 0.0000]], "rho_g_cm3": 0.80, "crystal_system": "cubic", "space_group": "Pm-3m, No. 221"}

---

Stability summary: most stable (2), least stable (3).

---

(1)
{"formula": "K", "functional": "PBE", "state": "relaxed", "lattice_angstrom": [[-11.5953, 11.5953, 11.5953], [11.5953, -11.5953, 11.5953], [11.5953, 11.5953, -11.5953]], "species": ["K", "K", "K", "K", "K", "K", "K", "K", "K", "K", "K", "K", "K", "K", "K", "K", "K", "K", "K", "K", "K", "K", "K", "K", "K", "K", "K", "K", "K", "K", "K", "K", "K", "K", "K", "K", "K", "K", "K", "K", "K", "K", "K", "K", "K", "K", "K", "K", "K", "K", "K", "K", "K", "K", "K", "K", "K", "K", "K", "K", "K", "K", "K", "K", "K", "K", "K", "K", "K", "K", "K", "K", "K", "K", "K", "K", "K", "K", "K", "K", "K"], "fractional_positions": [[0.0000, 0.0000, 0.0000], [0.0000, 0.0000, 0.3724], [0.0000, 0.0000, 0.6276], [0.0000, 0.3724, 0.0000], [0.0000, 0.6276, 0.0000], [0.0357, 0.2473, 0.5927], [0.0357, 0.4430, 0.7884], [0.0608, 0.9021, 0.1587], [0.0979, 0.1587, 0.2566], [0.0979, 0.8413, 0.9392], [0.0999, 0.5000, 0.5999], [0.1228, 0.8148, 0.3080], [0.1276, 0.4298, 0.3023], [0.1276, 0.8253, 0.6977], [0.1587, 0.0608, 0.9021], [0.1587, 0.2566, 0.0979], [0.1747, 0.3023, 0.8724], [0.1852, 0.3080, 0.4933], [0.1852, 0.6920, 0.8772], [0.1974, 0.6974, 0.5000], [0.2116, 0.6546, 0.2473], [0.2116, 0.9643, 0.5570], [0.2473, 0.2116, 0.6546], [0.2473, 0.5927, 0.0357], [0.2566, 0.0979, 0.1587], [0.3023, 0.1276, 0.4298], [0.3023, 0.8724, 0.1747], [0.3026, 0.5000, 0.8026], [0.3080, 0.1228, 0.8148], [0.3080, 0.4933, 0.1852], [0.3454, 0.5570, 0.5927], [0.3454, 0.7527, 0.7884], [0.3724, 0.0000, 0.0000], [0.3724, 0.3724, 0.3724], [0.4001, 0.9001, 0.5000], [0.4073, 0.6546, 0.4430], [0.4073, 0.9643, 0.7527], [0.4298, 0.3023, 0.1276], [0.4430, 0.4073, 0.6546], [0.4430, 0.7884, 0.0357], [0.4933, 0.1852, 0.3080], [0.5000, 0.1974, 0.6974], [0.5000, 0.4001, 0.9001], [0.5000, 0.5999, 0.0999], [0.5000, 0.8026, 0.3026], [0.5067, 0.8148, 0.6920], [0.5570, 0.2116, 0.9643], [0.5570, 0.5927, 0.3454], [0.5702, 0.6977, 0.8724], [0.5927, 0.0357, 0.2473], [0.5927, 0.3454, 0.5570], [0.5999, 0.0999, 0.5000], [0.6276, 0.0000, 0.0000], [0.6276, 0.6276, 0.6276], [0.6546, 0.2473, 0.2116], [0.6546, 0.4430, 0.4073], [0.6920, 0.5067, 0.8148], [0.6920, 0.8772, 0.1852], [0.6974, 0.5000, 0.1974], [0.6977, 0.1276, 0.8253], [0.6977, 0.8724, 0.5702], [0.7434, 0.9021, 0.8413], [0.7527, 0.4073, 0.9643], [0.7527, 0.7884, 0.3454], [0.7884, 0.0357, 0.4430], [0.7884, 0.3454, 0.7527], [0.8026, 0.3026, 0.5000], [0.8148, 0.3080, 0.1228], [0.8148, 0.6920, 0.5067], [0.8253, 0.6977, 0.1276], [0.8413, 0.7434, 0.9021], [0.8413, 0.9392, 0.0979], [0.8724, 0.1747, 0.3023], [0.8724, 0.5702, 0.6977], [0.8772, 0.1852, 0.6920], [0.9001, 0.5000, 0.4001], [0.9021, 0.1587, 0.0608], [0.9021, 0.8413, 0.7434], [0.9392, 0.0979, 0.8413], [0.9643, 0.5570, 0.2116], [0.9643, 0.7527, 0.4073]], "m_tot_mub_per_atom": 0.0587, "rho_g_cm3": 0.84, "crystal_system": "cubic", "space_group": "Im-3, No. 204"}

---

(2)
{"formula": "K", "functional": "PBE", "state": "relaxed", "lattice_angstrom": [[-7.2385, 7.2385, 3.7780], [7.2385, -7.2385, 3.7780], [7.2385, 7.2385, -3.7780]], "species": ["K", "K", "K", "K", "K", "K", "K", "K"], "fractional_positions": [[0.0828, 0.7986, 0.8814], [0.2014, 0.0828, 0.2841], [0.2986, 0.5828, 0.8814], [0.4172, 0.2986, 0.7159], [0.5828, 0.7014, 0.2841], [0.7014, 0.4172, 0.1186], [0.7986, 0.9172, 0.7159], [0.9172, 0.2014, 0.1186]], "m_tot_mub_per_atom": 0.0001, "rho_g_cm3": 0.66, "crystal_system": "tetragonal", "space_group": "I4/mcm, No. 140"}

---

(3)
{"formula": "K", "functional": "PBE", "state": "relaxed", "lattice_angstrom": [[-2.6311, 2.6311, 2.6311], [2.6311, -2.6311, 2.6311], [2.6311, 2.6311, -2.6311]], "species": ["K"], "fractional_positions": [[0.0000, 0.0000, 0.0000]], "rho_g_cm3": 0.89, "crystal_system": "cubic", "space_group": "Im-3m, No. 229"}

---

(4)
{"formula": "K", "functional": "PBE", "state": "relaxed", "lattice_angstrom": [[8.3686, 0.0000, 0.0000], [0.0000, 8.3686, 0.0000], [0.0000, 0.0000, 8.3686]], "species": ["K", "K", "K", "K", "K", "K", "K", "K"], "fractional_positions": [[0.0000, 0.0000, 0.0000], [0.0000, 0.2500, 0.5000], [0.0000, 0.7500, 0.5000], [0.2500, 0.5000, 0.0000], [0.5000, 0.0000, 0.2500], [0.5000, 0.0000, 0.7500], [0.5000, 0.5000, 0.5000], [0.7500, 0.5000, 0.0000]], "rho_g_cm3": 0.89, "crystal_system": "cubic", "space_group": "Pm-3n, No. 223"}

---

Stability summary: most stable (3), least stable (2).

---

(1)
{"formula": "K", "functional": "PBE", "state": "relaxed", "lattice_angstrom": [[-2.2140, 2.2140, 7.9071], [2.2140, -2.2140, 7.9071], [2.2140, 2.2140, -7.9071]], "species": ["K", "K"], "fractional_positions": [[0.3750, 0.6250, 0.7500], [0.6250, 0.3750, 0.2500]], "rho_g_cm3": 0.84, "crystal_system": "tetragonal", "space_group": "I4_1/amd, No. 141"}

---

(2)
{"formula": "K", "functional": "PBE", "state": "relaxed", "lattice_angstrom": [[6.4243, -4.5354, 0.0000], [6.4243, 4.5354, 0.0000], [0.0000, 0.0000, 10.1140]], "species": ["K", "K", "K", "K", "K", "K", "K", "K"], "fractional_positions": [[0.2365, 0.7635, 0.7637], [0.2457, 0.2457, 0.5000], [0.2543, 0.2543, 0.0000], [0.2635, 0.7365, 0.2637], [0.7365, 0.2635, 0.7363], [0.7457, 0.7457, 0.0000], [0.7543, 0.7543, 0.5000], [0.7635, 0.2365, 0.2363]], "rho_g_cm3": 0.88, "crystal_system": "orthorhombic", "space_group": "Cmce, No. 64"}

---

(3)
{"formula": "K", "functional": "PBE", "state": "relaxed", "lattice_angstrom": [[2.3877, -4.0172, 0.0000], [2.3877, 4.0172, 0.0000], [0.0000, 0.0000, 7.6504]], "species": ["K", "K"], "fractional_positions": [[0.1796, 0.8204, 0.7500], [0.8204, 0.1796, 0.2500]], "rho_g_cm3": 0.88, "crystal_system": "orthorhombic", "space_group": "Cmcm, No. 63"}

---

Stability summary: most stable (3), least stable (1).

---

(1)
{"formula": "K", "functional": "PBE", "state": "relaxed", "lattice_angstrom": [[7.4078, -4.4804, 0.0000], [7.4078, 4.4804, 0.0000], [0.0000, 0.0000, 8.9148]], "species": ["K", "K", "K", "K", "K", "K", "K", "K"], "fractional_positions": [[0.1810, 0.8190, 0.8198], [0.2213, 0.2213, 0.5000], [0.2787, 0.2787, 0.0000], [0.3190, 0.6810, 0.3198], [0.6810, 0.3190, 0.6802], [0.7213, 0.7213, 0.0000], [0.7787, 0.7787, 0.5000], [0.8190, 0.1810, 0.1802]], "m_tot_mub_per_atom": 0.0010, "rho_g_cm3": 0.88, "crystal_system": "orthorhombic", "space_group": "Cmce, No. 64"}

---

(2)
{"formula": "K", "functional": "PBE", "state": "relaxed", "lattice_angstrom": [[10.8172, 0.0000, 0.0000], [0.0000, 5.4319, 0.0000], [0.0000, 0.0000, 10.9220]], "species": ["K", "K", "K", "K", "K", "K", "K", "K"], "fractional_positions": [[0.0299, 0.2500, 0.1613], [0.1537, 0.2500, 0.5676], [0.3463, 0.7500, 0.0676], [0.4701, 0.7500, 0.6613], [0.5299, 0.2500, 0.3387], [0.6537, 0.2500, 0.9324], [0.8463, 0.7500, 0.4324], [0.9701, 0.7500, 0.8387]], "m_tot_mub_per_atom": 0.0000, "rho_g_cm3": 0.81, "crystal_system": "orthorhombic", "space_group": "Pnma, No. 62"}

---

(3)
{"formula": "K", "functional": "PBE", "state": "relaxed", "lattice_angstrom": [[4.4598, -6.5032, 0.0000], [4.4598, 6.5032, 0.0000], [0.0000, 0.0000, 8.6591]], "species": ["K", "K", "K", "K", "K"], "fractional_positions": [[0.0000, 0.0000, 0.0000], [0.0000, 0.5000, 0.2527], [0.0000, 0.5000, 0.7473], [0.5000, 0.0000, 0.2527], [0.5000, 0.0000, 0.7473]], "m_tot_mub_per_atom": 0.0008, "rho_g_cm3": 0.65, "crystal_system": "orthorhombic", "space_group": "Cmmm, No. 65"}

---

Stability summary: most stable (1), least stable (3).

---

(1)
{"formula": "K2Na2La2MgNb2O10", "functional": "PBE", "state": "relaxed", "lattice_angstrom": [[5.7162, 0.0000, 0.0000], [0.0000, 5.7162, 0.0000], [0.0000, 0.0000, 9.4040]], "species": ["K", "K", "Na", "Na", "La", "La", "Mg", "Nb", "Nb", "O", "O", "O", "O", "O", "O", "O", "O", "O", "O"], "fractional_positions": [[0.0000, 0.5000, 0.0000], [0.5000, 0.0000, 0.0000], [0.0000, 0.0000, 0.1777], [0.5000, 0.5000, 0.7925], [0.0000, 0.5000, 0.4223], [0.5000, 0.0000, 0.4223], [0.5000, 0.5000, 0.5454], [0.0000, 0.0000, 0.6722], [0.5000, 0.5000, 0.2224], [0.0000, 0.0000, 0.8719], [0.2384, 0.2384, 0.6054], [0.2384, 0.7616, 0.6054], [0.2576, 0.2576, 0.2622], [0.2576, 0.7424, 0.2622], [0.5000, 0.5000, 0.0132], [0.7424, 0.2576, 0.2622], [0.7424, 0.7424, 0.2622], [0.7616, 0.2384, 0.6054], [0.7616, 0.7616, 0.6054]], "m_tot_mub_per_atom": 0.0000, "rho_g_cm3": 4.17, "crystal_system": "tetragonal", "space_group": "P4mm, No. 99"}

---

(2)
{"formula": "K2Na2La2MgNb2O10", "functional": "PBE", "state": "relaxed", "lattice_angstrom": [[5.9890, 0.0000, 0.0000], [0.0000, 5.8463, 0.0000], [-1.0760, 0.0000, 8.7607]], "species": ["K", "K", "Na", "Na", "La", "La", "Mg", "Nb", "Nb", "O", "O", "O", "O", "O", "O", "O", "O", "O", "O"], "fractional_positions": [[0.0000, 0.0000, 0.0000], [0.3864, 0.5000, 0.0739], [0.2947, 0.0000, 0.3694], [0.9082, 0.5000, 0.8495], [0.3709, 0.5000, 0.6028], [0.9117, 0.0000, 0.6048], [0.6653, 0.0000, 0.2370], [0.4426, 0.0000, 0.8183], [0.8624, 0.5000, 0.3383], [0.0791, 0.2785, 0.4496], [0.0791, 0.7215, 0.4496], [0.1921, 0.2399, 0.7829], [0.1921, 0.7601, 0.7829], [0.4534, 0.0000, 0.0463], [0.6232, 0.2647, 0.3758], [0.6232, 0.7353, 0.3758], [0.6490, 0.2301, 0.7479], [0.6490, 0.7699, 0.7479], [0.8971, 0.5000, 0.1304]], "m_tot_mub_per_atom": 0.0895, "rho_g_cm3": 4.18, "crystal_system": "monoclinic", "space_group": "Pm, No. 6"}

---

Stability summary: most stable (2), least stable (1).

---

(1)
{"formula": "KLaMg14O16", "functional": "PBE", "state": "relaxed", "lattice_angstrom": [[4.4864, 0.0000, 0.0000], [0.0000, 8.7485, 0.0000], [0.0000, 0.0000, 8.9832]], "species": ["K", "La", "Mg", "Mg", "Mg", "Mg", "Mg", "Mg", "Mg", "Mg", "Mg", "Mg", "Mg", "Mg", "Mg", "Mg", "O", "O", "O", "O", "O", "O", "O", "O", "O", "O", "O", "O", "O", "O", "O", "O"], "fractional_positions": [[0.0000, 0.0000, 0.0000], [0.0000, 0.0000, 0.5000], [0.0000, 0.2606, 0.2386], [0.0000, 0.2606, 0.7614], [0.0000, 0.5000, 0.0000], [0.0000, 0.5000, 0.5000], [0.0000, 0.7394, 0.2386], [0.0000, 0.7394, 0.7614], [0.5000, 0.0000, 0.2302], [0.5000, 0.0000, 0.7698], [0.5000, 0.2547, 0.0000], [0.5000, 0.2669, 0.5000], [0.5000, 0.5000, 0.2458], [0.5000, 0.5000, 0.7542], [0.5000, 0.7331, 0.5000], [0.5000, 0.7453, 0.0000], [0.0000, 0.0000, 0.2531], [0.0000, 0.0000, 0.7469], [0.0000, 0.2720, 0.5000], [0.0000, 0.2768, 0.0000], [0.0000, 0.5000, 0.2517], [0.0000, 0.5000, 0.7483], [0.0000, 0.7232, 0.0000], [0.0000, 0.7280, 0.5000], [0.5000, 0.0000, 0.0000], [0.5000, 0.0000, 0.5000], [0.5000, 0.2508, 0.2503], [0.5000, 0.2508, 0.7497], [0.5000, 0.5000, 0.0000], [0.5000, 0.5000, 0.5000], [0.5000, 0.7492, 0.2503], [0.5000, 0.7492, 0.7497]], "m_tot_mub_per_atom": 0.0000, "rho_g_cm3": 3.65, "crystal_system": "orthorhombic", "space_group": "Pmmm, No. 47"}

---

(2)
{"formula": "KLaMg14O16", "functional": "PBE", "state": "relaxed", "lattice_angstrom": [[8.7969, 0.0000, 0.0000], [0.0000, 8.7969, 0.0000], [0.0000, 0.0000, 4.5096]], "species": ["K", "La", "Mg", "Mg", "Mg", "Mg", "Mg", "Mg", "Mg", "Mg", "Mg", "Mg", "Mg", "Mg", "Mg", "Mg", "O", "O", "O", "O", "O", "O", "O", "O", "O", "O", "O", "O", "O", "O", "O", "O"], "fractional_positions": [[0.0000, 0.0000, 0.0000], [0.5000, 0.5000, 0.0000], [0.0000, 0.2484, 0.5000], [0.0000, 0.5000, 0.0000], [0.0000, 0.7516, 0.5000], [0.2313, 0.5000, 0.5000], [0.2399, 0.2399, 0.0000], [0.2399, 0.7601, 0.0000], [0.2484, 0.0000, 0.5000], [0.5000, 0.0000, 0.0000], [0.5000, 0.2313, 0.5000], [0.5000, 0.7687, 0.5000], [0.7516, 0.0000, 0.5000], [0.7601, 0.2399, 0.0000], [0.7601, 0.7601, 0.0000], [0.7687, 0.5000, 0.5000], [0.0000, 0.0000, 0.5000], [0.0000, 0.2730, 0.0000], [0.0000, 0.5000, 0.5000], [0.0000, 0.7270, 0.0000], [0.2346, 0.5000, 0.0000], [0.2520, 0.2520, 0.5000], [0.2520, 0.7480, 0.5000], [0.2730, 0.0000, 0.0000], [0.5000, 0.0000, 0.5000], [0.5000, 0.2346, 0.0000], [0.5000, 0.5000, 0.5000], [0.5000, 0.7654, 0.0000], [0.7270, 0.0000, 0.0000], [0.7480, 0.2520, 0.5000], [0.7480, 0.7480, 0.5000], [0.7654, 0.5000, 0.0000]], "m_tot_mub_per_atom": 0.0000, "rho_g_cm3": 3.68, "crystal_system": "tetragonal", "space_group": "P4/mmm, No. 123"}

---

Stability summary: most stable (2), least stable (1).